! Na5La2Ti2SiP5O24, optimized geometry, DFT PBE; values from VASP
&SYSTEM
  ibrav = 0, nat = 117, ntyp = 6
/
ATOMIC_SPECIES
Na 22.99 Na.upf
La 138.91 La.upf
Ti 47.87 Ti.upf
Si 28.09 Si.upf
P 30.97 P.upf
O 16.00 O.upf
ATOMIC_POSITIONS angstrom
Na 0.0000 0.0000 0.0000
Na 1.8195 3.1091 17.4356
Na 0.5060 0.3306 15.1900
Na 4.5098 3.1746 15.1706
Na 4.5842 2.5958 7.6201
Na 6.2687 5.4980 2.1637
Na 6.3021 5.4637 13.2683
Na 4.9731 3.0075 22.9990
Na 7.9088 8.0792 11.4233
Na 9.0980 5.7624 0.1042
Na 6.2402 0.1502 21.1339
Na 7.9202 2.8640 19.2342
Na 6.5086 0.2164 9.7539
Na 9.6892 5.6527 7.8019
Na 10.7193 2.8557 5.8142
La 6.2810 5.6946 21.2957
La 6.3403 5.6746 16.8612
La 6.2365 0.1264 17.6613
La 6.3828 0.2564 6.3408
La 10.8449 3.1010 13.4153
La 10.8190 2.9742 2.4846
Ti 1.6941 2.9032 20.8072
Ti 1.7321 2.7665 9.2789
Ti 6.3014 5.7525 5.3560
Ti 6.2292 5.5979 9.9641
Ti 6.2755 0.2684 12.8967
Ti 6.3241 0.3297 1.7098
Si 7.3830 7.9914 7.7594
Si 4.5703 2.9305 11.4828
Si 8.0559 2.8219 0.0248
P 0.2840 0.4329 11.4617
P 0.3551 0.2755 19.2537
P 3.6786 5.4339 7.7190
P 3.1161 0.5878 0.0238
P 4.7199 3.1185 19.2357
P 3.5624 0.2515 15.0723
P 5.1134 2.7314 3.9426
P 7.6729 3.5164 7.6981
P 9.3215 6.0866 3.9264
P 7.5702 2.5759 15.1961
P 9.2900 5.4612 19.4200
P 9.4325 5.4586 11.3271
P 12.2762 5.9992 15.1061
P 13.5915 8.0567 3.8525
P 12.1457 5.4201 22.9838
O 0.7932 1.1505 3.7294
O 1.1114 1.6348 19.3360
O 2.8452 4.5126 1.2422
O 0.9732 0.8703 12.7667
O 2.8230 4.1113 7.8237
O 5.1573 7.5661 20.5476
O 4.4296 5.7981 22.7654
O 5.4405 7.5956 17.9906
O 4.6309 6.0010 15.0060
O 2.1576 1.4643 7.9606
O 5.1480 6.6965 3.9232
O 5.4311 7.1179 11.1330
O 3.1937 3.0676 19.4225
O 4.6123 5.5305 8.9418
O 4.5672 5.3605 6.4396
O 3.2801 2.6653 10.3332
O 2.6650 1.5111 15.0111
O 2.4403 1.1361 1.2617
O 2.7845 1.5854 21.8111
O 3.6135 2.8993 3.7528
O 3.8701 3.2486 12.8927
O 6.7951 7.2096 6.3813
O 5.0402 3.9502 17.9427
O 6.9564 7.0642 9.0010
O 7.2666 7.2662 22.8300
O 5.5325 4.1838 11.0891
O 5.3795 3.7759 20.4666
O 7.2476 7.0532 15.0598
O 5.8845 4.0610 3.9040
O 4.3595 0.3724 16.3719
O 5.3439 1.9938 5.2557
O 7.7463 6.0409 3.9834
O 5.3441 1.7087 19.1752
O 4.6785 0.5956 0.1292
O 4.4363 0.1127 7.7818
O 4.5532 0.1930 13.8383
O 5.4003 1.4854 11.5711
O 6.8082 3.9208 15.0824
O 7.9157 5.7504 11.0763
O 7.0041 4.0343 22.8287
O 5.6971 1.7792 2.7174
O 7.1656 4.3181 8.9169
O 7.3222 4.3760 6.4252
O 8.2749 5.3305 18.2256
O 8.5294 5.5953 20.7428
O 6.9389 2.1629 7.7452
O 9.7634 6.9783 2.6802
O 9.8244 6.6745 5.2439
O 6.9994 1.6128 14.0472
O 7.2845 1.9511 16.5694
O 10.1203 6.8673 11.4411
O 10.2569 6.6383 19.3122
O 7.2657 1.3513 0.3195
O 9.4486 4.7335 12.6711
O 8.9765 3.2859 1.2417
O 9.8612 4.6583 3.8257
O 9.2169 3.3436 7.7824
O 11.2377 6.6805 0.0947
O 10.1203 4.6055 10.2049
O 9.0939 2.6728 15.0479
O 8.0456 0.5884 19.1827
O 9.2069 2.6354 21.7205
O 10.0482 4.1069 19.4160
O 7.9474 0.3927 11.5723
O 11.6843 6.8804 13.9338
O 12.5748 8.0074 2.5944
O 8.2248 0.1879 5.1157
O 11.9026 6.6189 16.4537
O 11.8938 6.6183 7.7765
O 11.5548 4.5264 21.8107
O 9.8878 1.5374 10.3581
O 11.7514 4.5481 15.0982
CELL_PARAMETERS angstrom
9.2044 0.0000 0.0000
4.5639 8.0751 0.0000
0.0792 0.0584 23.0038
! energy of formation from the pure elements	-2.995	eV/atom
! SG	P1 (1)